(1)
USnTe | PBE | optimized geometry

Cell lengths 4.281, 4.281, 9.030 Å; angles 90.00, 90.00, 90.00 degrees
Atoms (fractional coordinates):
U (0.000, 0.500, 0.718)
Te (0.000, 0.500, 0.363)
Sn (0.500, 0.500, 0.000)
Sn (0.000, 0.000, 0.000)
Te (0.500, 0.000, 0.637)
U (0.500, 0.000, 0.282)

* formation energy: -0.57 eV/atom
* electronic total energy: -6.58 eV/atom

(2)
ThSn2 | PBE | optimized geometry

Cell lengths 8.707, 8.707, 4.466 Å; angles 90.00, 90.00, 149.60 degrees
Atoms (fractional coordinates):
Th (0.898, 0.102, 0.750)
Th (0.102, 0.898, 0.250)
Sn (0.561, 0.439, 0.750)
Sn (0.749, 0.251, 0.250)
Sn (0.251, 0.749, 0.750)
Sn (0.439, 0.561, 0.250)

* formation energy: -0.54 eV/atom
* electronic total energy: -5.68 eV/atom

What did the second record say?
ThSn2 | PBE | optimized geometry

Cell lengths 8.707, 8.707, 4.466 Å; angles 90.00, 90.00, 149.60 degrees
Atoms (fractional coordinates):
Th (0.898, 0.102, 0.750)
Th (0.102, 0.898, 0.250)
Sn (0.561, 0.439, 0.750)
Sn (0.749, 0.251, 0.250)
Sn (0.251, 0.749, 0.750)
Sn (0.439, 0.561, 0.250)

* formation energy: -0.54 eV/atom
* electronic total energy: -5.68 eV/atom

Number 1 is which compound?
USnTe

Which value of formation energy does entry 1 give?
-0.57 eV/atom